This record from the Materials Project describes a relaxed RbZnH2Se2BrO6 crystal. The functional is PBE-GGA.

The energy relative to the elements is -137.7 kJ per mole of atoms.

POSCAR file:
```
RbZnH2Se2BrO6
1.0
6.5659 0.0000 0.0000
0.0000 6.2399 0.0000
-2.4331 0.0000 10.6765
Rb Zn H Se Br O
2 2 4 4 2 12
direct
0.0000 0.1626 0.2500 Rb
0.0000 0.8374 0.7500 Rb
0.5000 0.4504 0.7500 Zn
0.5000 0.5496 0.2500 Zn
0.0719 0.3434 0.5914 H
0.0719 0.6566 0.0914 H
0.9281 0.3434 0.9086 H
0.9281 0.6566 0.4086 H
0.2937 0.3154 0.9866 Se
0.2937 0.6846 0.4866 Se
0.7063 0.3154 0.5134 Se
0.7063 0.6846 0.0134 Se
0.5000 0.0543 0.7500 Br
0.5000 0.9457 0.2500 Br
0.0322 0.2189 0.9217 O
0.0322 0.7811 0.4217 O
0.2421 0.4523 0.1157 O
0.2421 0.5477 0.6157 O
0.3161 0.4790 0.3856 O
0.3161 0.5210 0.8856 O
0.6839 0.4790 0.1144 O
0.6839 0.5210 0.6144 O
0.7579 0.4523 0.3843 O
0.7579 0.5477 0.8843 O
0.9678 0.2189 0.5783 O
0.9678 0.7811 0.0783 O
```